[1]
# KNaTiH2O3F4

A relaxed structure of KNaTiH2O3F4 (PBE, the Materials Project database).

a b c (Å): 5.8687 10.5122 10.8397
angles (deg): 73.56 90.00 90.00
Last column: nearest neighbours and their distance in Å.
Atoms (fractional coordinates):
F1 0.6429 0.6839 0.8310  1 Ti 1.90
F2 0.2699 0.8941 0.8943  1 Ti 1.94
F3 0.1537 0.0772 0.0179  2 Ti 2.08-2.17
F4 0.3126 0.1620 0.7786  1 H 1.90, 1 Ti 1.97
F5 0.8571 0.1839 0.8310  1 Ti 1.90
F6 0.8126 0.3380 0.2214  1 H 1.90, 1 Ti 1.97
F7 0.3463 0.5772 0.0179  2 Ti 2.08-2.17
F8 0.6537 0.4228 0.9821  2 Ti 2.08-2.17
F9 0.7301 0.1059 0.1057  1 Ti 1.94
F10 0.8463 0.9228 0.9821  2 Ti 2.08-2.17
F11 0.1429 0.8161 0.1690  1 Ti 1.90
F12 0.2301 0.3941 0.8943  1 Ti 1.94
F13 0.6874 0.8380 0.2214  1 H 1.90, 1 Ti 1.97
F14 0.1874 0.6620 0.7786  1 H 1.90, 1 Ti 1.97
F15 0.7699 0.6059 0.1057  1 Ti 1.94
F16 0.3571 0.3161 0.1690  1 Ti 1.90
Ti1 0.4453 0.5393 0.8386  2 O 1.89, 4 F 1.90-2.08
Ti2 0.0547 0.0393 0.8386  2 O 1.89, 4 F 1.90-2.08
Ti3 0.5547 0.4607 0.1614  2 O 1.89, 4 F 1.90-2.08
Ti4 0.9453 0.9607 0.1614  2 O 1.89, 4 F 1.90-2.08
H1 0.5083 0.1946 0.6336  1 O 0.98
H2 0.9917 0.6946 0.6336  1 O 0.98
H3 0.0481 0.2142 0.5052  1 O 0.98
H4 0.4519 0.7142 0.5052  1 O 0.98
H5 0.4917 0.8054 0.3664  1 O 0.98
H6 0.0083 0.3054 0.3664  1 O 0.98
H7 0.5481 0.2858 0.4948  1 O 0.98
H8 0.9519 0.7858 0.4948  1 O 0.98
O1 0.4407 0.5404 0.6639  1 O 1.46
O2 0.0593 0.0404 0.6639  1 O 1.46
O3 0.9407 0.9596 0.3361  1 O 1.46
O4 0.1160 0.0466 0.2616  1 O 1.46
O5 0.6160 0.4534 0.7384  1 O 1.46
O6 0.9181 0.6969 0.5517  2 H 0.98
O7 0.5819 0.1969 0.5517  2 H 0.98
O8 0.5593 0.4596 0.3361  1 O 1.46
O9 0.8840 0.9534 0.7384  1 O 1.46
O10 0.3840 0.5466 0.2616  1 O 1.46
O11 0.4181 0.8031 0.4483  2 H 0.98
O12 0.0819 0.3031 0.4483  2 H 0.98
K1 0.0393 0.3949 0.6666  3 F 2.65-2.89, 3 O 2.73-2.81, 1 H 2.92
K2 0.4607 0.8949 0.6666  3 F 2.65-2.89, 3 O 2.73-2.81, 1 H 2.92
K3 0.5393 0.1051 0.3334  3 F 2.65-2.89, 3 O 2.73-2.81, 1 H 2.92
K4 0.9607 0.6051 0.3334  3 F 2.65-2.89, 3 O 2.73-2.81, 1 H 2.92
Na1 0.5133 0.2136 0.9333  4 F 2.24-2.47
Na2 0.4867 0.7864 0.0667  4 F 2.24-2.47
Na3 0.0133 0.2864 0.0667  4 F 2.24-2.47
Na4 0.9867 0.7136 0.9333  4 F 2.24-2.47

- total energy after the MP2020 corrections (eV/cell) = -281.250
- density (g/cm³) = 2.44
- ΔE_f (meV per atom) = -2558
- excess energy over the best structure of this formula in the dataset (meV per atom) = 0
- symmetry = No. 14



[2]
# Er2O3

A relaxed structure of Er2O3 (PBE, the Materials Project database).

a b c (Å): 7.1852 7.1852 8.5652
angles (deg): 79.93 79.93 27.87
Last column: nearest neighbours and their distance in Å.
Atoms (fractional coordinates):
Er1 0.8086 0.8086 0.1372  6 O 2.22-2.39
Er2 0.1914 0.1914 0.8628  6 O 2.22-2.39
Er3 0.4679 0.4679 0.8140  4 O 2.18-2.23
Er4 0.5321 0.5321 0.1860  4 O 2.18-2.23
Er5 0.8649 0.8649 0.4876  6 O 2.22-2.46
Er6 0.1351 0.1351 0.5124  6 O 2.22-2.46
O1 0.2930 0.2930 0.6226  3 Er 2.22-2.28
O2 0.0297 0.0297 0.3429  4 Er 2.19-2.41
O3 0.3254 0.3254 0.9690  4 Er 2.18-2.24
O4 0.7070 0.7070 0.3774  3 Er 2.22-2.28
O5 0.6746 0.6746 0.0310  4 Er 2.18-2.24
O6 0.9703 0.9703 0.6571  4 Er 2.19-2.41
O7 0.3724 0.3724 0.2815  5 Er 2.23-2.46
O8 0.0000 0.0000 0.0000  6 Er 2.45-2.72
O9 0.6276 0.6276 0.7185  5 Er 2.23-2.46

- total energy after the MP2020 corrections (eV/cell) = -132.071
- density (g/cm³) = 9.37
- ΔE_f (meV per atom) = -4009
- symmetry = No. 12



[3]
# ZnPbO3

A relaxed structure of ZnPbO3 (PBE, the Materials Project database).

a b c (Å): 5.5168 5.5168 5.8222
angles (deg): 61.72 61.72 60.00
Last column: nearest neighbours and their distance in Å.
Atoms (fractional coordinates):
Zn1 0.5000 0.5000 0.4999  3 O 2.05
Zn2 0.0000 0.0000 0.9999  3 O 2.05
O1 0.5966 0.1964 0.3330  1 Zn 2.05, 2 Pb 2.18-2.28
O2 0.3739 0.6964 0.8330  1 Zn 2.05, 2 Pb 2.18-2.28
O3 0.8739 0.5966 0.3330  1 Zn 2.05, 2 Pb 2.18-2.28
O4 0.6964 0.0966 0.8330  1 Zn 2.05, 2 Pb 2.18-2.28
O5 0.0966 0.3739 0.8330  1 Zn 2.05, 2 Pb 2.18-2.28
O6 0.1964 0.8739 0.3330  1 Zn 2.05, 2 Pb 2.18-2.28
Pb1 0.7822 0.7822 0.6533  6 O 2.18-2.28
Pb2 0.2822 0.2822 0.1533  6 O 2.18-2.28

- total energy after the MP2020 corrections (eV/cell) = -54.369
- density (g/cm³) = 8.29
- ΔE_f (meV per atom) = -1474
- symmetry = No. 161